Computed, not measured: an optimized crystal structure of BiB3O6 at the meta-GGA r2SCAN level of DFT.

abc: 18.4453 4.4561 4.2855
angles: 90.00 90.00 90.00
Fractional coordinates of all 40 atoms:
1 Bi 0.1622 0.1572 0.0000
2 Bi 0.3378 0.1572 0.5000
3 Bi 0.6622 0.8428 0.0000
4 Bi 0.8378 0.8428 0.5000
5 B 0.0017 0.8247 0.0781
6 B 0.0725 0.6720 0.5513
7 B 0.2128 0.6352 0.5262
8 B 0.2872 0.6352 0.0262
9 B 0.4275 0.6720 0.0513
10 B 0.4983 0.8247 0.5781
11 B 0.5017 0.1753 0.0781
12 B 0.5725 0.3280 0.5513
13 B 0.7128 0.3648 0.5262
14 B 0.7872 0.3648 0.0262
15 B 0.9275 0.3280 0.0513
16 B 0.9983 0.1753 0.5781
17 O 0.0180 0.8720 0.7241
18 O 0.0604 0.3613 0.6263
19 O 0.0682 0.7371 0.2207
20 O 0.1460 0.7578 0.6606
21 O 0.2117 0.3091 0.5333
22 O 0.2240 0.7472 0.2069
23 O 0.2760 0.7472 0.7069
24 O 0.2883 0.3091 0.0333
25 O 0.3540 0.7578 0.1606
26 O 0.4318 0.7371 0.7207
27 O 0.4396 0.3613 0.1263
28 O 0.4820 0.8720 0.2241
29 O 0.5180 0.1280 0.7241
30 O 0.5604 0.6387 0.6263
31 O 0.5682 0.2629 0.2207
32 O 0.6460 0.2422 0.6606
33 O 0.7117 0.6909 0.5333
34 O 0.7240 0.2528 0.2069
35 O 0.7760 0.2528 0.7069
36 O 0.7883 0.6909 0.0333
37 O 0.8540 0.2422 0.1606
38 O 0.9318 0.2629 0.7207
39 O 0.9396 0.6387 0.1263
40 O 0.9820 0.1280 0.2241

Results
VASP energy	-13.967	eV/atom
formation enthalpy at 0 K	-2248	kJ/mol of formula units
excess energy over the best structure of this formula in the dataset	0.00	kcal/mol of atoms
calculated volume	8.81	Å³ per atom